DFT (GGA-PBE) results for crystalline Mg6MnGa at its relaxed geometry.

Geometry as POSCAR:
```
Mg6MnGa
1.0
4.8865 0.0000 0.0000
0.0000 6.2183 0.0000
0.0000 0.0000 10.7278
Mg Ga Mn
12 2 2
direct
0.0000 0.2545 0.0851
0.0000 0.2455 0.5851
0.5000 0.7424 0.4125
0.0000 0.7455 0.0851
0.0000 0.7545 0.5851
0.5000 0.5000 0.6676
0.5000 0.2424 0.9125
0.5000 0.7576 0.9125
0.5000 0.0000 0.1676
0.5000 0.2576 0.4125
0.0000 0.0000 0.3337
0.0000 0.5000 0.8337
0.5000 0.5000 0.1753
0.5000 0.0000 0.6753
0.0000 0.0000 0.8282
0.0000 0.5000 0.3282
```

Output
E_form: 0.46 eV per formula unit
theoretical density: 2756 kg/m³
spin magnetization: 3.57 μB per formula unit